# EuAg3

A relaxed structure of EuAg3 (GGA-PBE, the Materials Project).

Values from the calculation:
As for the formation energy from the elements: -0.1778 eV/atom. As for the total magnetic moment: 1.747 μB per atom. As for the space group: P6_3/mmc (194).

The structure in extended XYZ format:
```
8
Lattice="3.377 -5.849 0.000 3.377 5.849 0.000 0.000 0.000 4.828" Properties=species:S:1:pos:R:3 pbc="T T T"
Eu 3.377 1.950 3.621
Eu 3.377 -1.950 1.207
Ag 1.458 0.842 1.207
Ag 5.296 0.842 1.207
Ag 3.377 4.166 1.207
Ag 5.296 -0.842 3.621
Ag 1.458 -0.842 3.621
Ag 3.377 -4.166 3.621
```

---

# RuC4O4

A relaxed structure of RuC4O4 (GGA-PBE, the Materials Project).

Values from the calculation:
The offset from the most stable computed form is 0.050 eV/atom. As for the formation energy from the elements: -0.9097 eV/atom. As for the total magnetic moment: 0.000 μB per atom. As for the space group: Iba2 (45).

The structure in extended XYZ format:
```
18
Lattice="-6.368 2.142 5.327 -2.409 8.207 -0.603 0.961 -6.841 -5.079" Properties=species:S:1:pos:R:3 pbc="T T T"
Ru -0.004 0.003 -0.014
Ru -0.727 0.686 -2.855
C -5.437 2.078 1.881
C -1.599 -1.044 -3.033
C -5.997 4.122 -0.671
C -6.217 4.552 2.678
C -1.819 -0.614 0.316
C -8.298 8.580 4.173
C -2.381 1.432 -2.243
C 0.480 -5.070 -4.535
O -3.432 1.920 -1.848
O -5.764 5.608 2.855
O -2.916 -0.906 0.564
O -2.034 -2.116 -3.141
O 0.163 -3.944 -4.174
O -4.883 4.397 -0.850
O -7.977 7.449 3.828
O -4.381 1.585 1.502
```

---

# La2B3Br

A relaxed structure of La2B3Br (GGA-PBE, the Materials Project).

Values from the calculation:
As for the formation energy from the elements: -0.9336 eV/atom. As for the space group: P-6m2 (187).

The structure in extended XYZ format:
```
24
Lattice="-4.920 -2.166 5.709 1.453 -4.862 -5.978 6.550 -3.397 4.356" Properties=species:S:1:pos:R:3 pbc="T T T"
La 1.085 -2.723 -0.098
La 1.810 -5.149 -3.081
La 2.240 -5.676 5.161
La -0.645 -6.230 -0.233
La 5.518 -7.072 -0.615
La -1.280 -3.851 2.821
La 4.793 -4.646 2.368
La 3.063 -8.153 2.233
B -0.813 -4.805 -2.524
B -0.077 -3.313 -2.467
B -1.911 -3.439 0.192
B -0.593 -0.650 0.384
B -1.629 -1.786 1.057
B -2.516 -1.415 2.680
B -1.122 -3.773 -1.255
B -3.682 -2.690 3.438
B -3.075 -4.718 0.944
B -4.469 -2.357 4.883
B -3.959 -4.341 2.568
B -3.324 -6.188 0.172
Br 3.978 -4.156 -0.795
Br 2.274 -7.610 -0.928
Br 1.560 -5.221 2.010
Br 3.275 -1.699 2.178
```

---

# Eu5Si3H

A relaxed structure of Eu5Si3H (GGA-PBE, the Materials Project).

Values from the calculation:
As for the formation energy from the elements: -0.5422 eV/atom. As for the total magnetic moment: 3.826 μB per atom. As for the space group: I4/mcm (140).

The structure in extended XYZ format:
```
18
Lattice="-3.866 3.866 7.223 3.866 -3.866 7.223 3.866 3.866 -7.223" Properties=species:S:1:pos:R:3 pbc="T T T"
Eu 0.000 0.000 7.223
Eu 0.000 0.000 0.000
Eu 1.329 5.195 -2.149
Eu 2.537 -1.329 5.074
Eu 2.537 1.329 -2.149
Eu 1.329 2.537 5.074
Eu 2.537 -1.329 9.372
Eu 1.329 5.195 2.149
Eu 1.329 2.537 9.372
Eu 2.537 1.329 2.149
Si 0.000 0.000 3.611
Si 0.000 0.000 10.834
Si -0.849 3.017 7.223
Si 4.715 0.849 0.000
Si 0.849 3.017 0.000
Si 3.017 0.849 7.223
H 3.866 0.000 3.611
H 0.000 3.866 3.611
```

---

# MgSi

A relaxed structure of MgSi (GGA-PBE, the Materials Project).

Values from the calculation:
As for the formation energy from the elements: 0.1510 eV/atom. As for the total magnetic moment: 0.000 μB per atom. As for the space group: P4/mmm (123).

The structure in extended XYZ format:
```
2
Lattice="2.908 0.000 0.000 0.000 2.908 0.000 0.000 0.000 4.103" Properties=species:S:1:pos:R:3 pbc="T T T"
Mg 0.000 0.000 0.000
Si 1.454 1.454 2.052
```

---

# PrMg2Cu9

A relaxed structure of PrMg2Cu9 (GGA-PBE, the Materials Project).

Values from the calculation:
As for the formation energy from the elements: -0.1623 eV/atom. As for the space group: P6_3/mmc (194).

The structure in extended XYZ format:
```
24
Lattice="2.531 -4.384 0.000 2.531 4.384 0.000 0.000 0.000 16.168" Properties=species:S:1:pos:R:3 pbc="T T T"
Pr 2.531 -1.461 4.042
Pr 2.531 1.461 12.126
Mg 2.531 -1.461 7.576
Mg 2.531 1.461 15.660
Mg 2.531 -1.461 0.508
Mg 2.531 1.461 8.592
Cu 2.531 1.461 4.042
Cu 2.531 -1.461 12.126
Cu 2.531 2.910 6.111
Cu 1.277 0.737 6.111
Cu 0.000 0.000 12.126
Cu 0.000 0.000 4.042
Cu 0.000 0.000 0.000
Cu 0.000 0.000 8.084
Cu 1.277 0.737 1.973
Cu 2.531 -2.910 10.058
Cu 1.277 -0.737 10.058
Cu 3.785 0.737 1.973
Cu 2.531 2.910 1.973
Cu 3.785 -0.737 14.195
Cu 2.531 -2.910 14.195
Cu 3.785 -0.737 10.058
Cu 1.277 -0.737 14.195
Cu 3.785 0.737 6.111
```

---

# RbMg6Cu

A relaxed structure of RbMg6Cu (GGA-PBE, the Materials Project).

Values from the calculation:
The offset from the most stable computed form is 0.081 eV/atom. As for the formation energy from the elements: 0.3018 eV/atom. As for the total magnetic moment: 0.000 μB per atom.

The structure in extended XYZ format:
```
16
Lattice="-4.187 3.110 0.703 -2.337 -4.154 4.457 5.736 5.818 8.431" Properties=species:S:1:pos:R:3 pbc="T T T"
Rb -2.302 0.452 3.991
Rb 1.735 5.438 5.979
Mg -0.292 2.928 5.009
Mg -1.439 0.889 7.197
Mg -1.342 -2.743 4.141
Mg -0.059 -0.462 1.693
Mg 1.873 1.899 2.752
Mg 0.817 -0.063 5.147
Mg 1.408 3.760 11.453
Mg 2.598 5.875 9.184
Mg 2.695 2.243 6.128
Mg 1.641 0.370 8.138
Mg 3.572 2.731 9.197
Mg 4.854 4.923 7.134
Cu -1.170 2.491 1.708
Cu 0.529 3.323 8.153
```

---

# InTeO3F

A relaxed structure of InTeO3F (GGA-PBE, the Materials Project).

Values from the calculation:
As for the formation energy from the elements: -1.9831 eV/atom. As for the total magnetic moment: 0.000 μB per atom. As for the space group: P2_1/c (14).

The structure in extended XYZ format:
```
24
Lattice="-0.812 -3.436 4.241 7.240 1.927 2.948 -3.117 6.270 4.482" Properties=species:S:1:pos:R:3 pbc="T T T"
In -0.969 3.311 8.105
In 0.609 0.273 2.356
In 4.279 1.451 3.566
In 2.702 4.488 9.315
Te -1.348 3.690 4.911
Te 0.951 -0.260 5.741
Te 4.659 1.072 6.760
Te 2.359 5.022 5.930
O -1.626 5.629 5.065
O 1.538 -0.894 3.977
O 4.937 -0.867 6.607
O 1.772 5.656 7.695
O 0.037 3.681 6.231
O -0.674 -1.268 5.676
O 3.274 1.081 5.440
O 3.984 6.030 5.995
O -2.552 3.373 6.453
O 2.508 1.550 2.356
O 5.862 1.389 5.218
O 0.802 3.212 9.315
F -0.560 1.137 7.765
F -0.104 1.162 4.283
F 3.870 3.624 3.906
F 3.415 3.600 7.389
```

---

Question: What is the formation energy from the elements in the fourth record?
Answer: -0.5422 eV/atom